Record 1
4
Lattice="-2.812 0.828 -3.299 -3.585 -2.518 -0.527 -4.000 1.647 0.872" Properties=species:S:1:pos:R:3 comment="Li2AlAg (meta-GGA r2SCAN, optimized geometry)" mass_density_g_cm3=4.1 e_form_ev_per_fu=-0.99 spacegroup="F-43m (216)" energy_ev_per_atom=-8.463 pbc="T T T"
Li -2.599 -0.011 -0.739
Li -5.199 -0.022 -1.477
Al 0.000 0.000 0.000
Ag -7.798 -0.033 -2.216

---

Record 2
30
Lattice="2.985 5.203 -0.009 -2.985 5.203 -0.009 0.000 1.806 10.018" Properties=species:S:1:pos:R:3 comment="Li6Zr2O7 (meta-GGA r2SCAN, optimized geometry)" mass_density_g_cm3=3.6 e_form_ev_per_fu=-42.40 spacegroup="C2/c (15)" energy_ev_per_atom=-9.602 pbc="T T T"
Li -0.858 5.639 5.852
Li -0.858 7.476 9.157
Li 0.858 6.573 4.148
Li 2.384 7.524 8.987
Li -0.763 7.546 1.034
Li -0.763 3.763 3.956
Li 0.763 4.666 8.965
Li 0.763 8.449 6.043
Li -2.384 6.621 3.978
Li -2.384 4.688 1.013
Li 2.384 5.591 6.022
Li 0.858 4.736 0.843
Zr 0.719 10.061 8.649
Zr 0.719 3.055 6.360
Zr -0.719 2.152 1.351
Zr -0.719 9.158 3.640
O 0.678 3.020 2.576
O 0.678 8.289 2.414
O -0.678 9.192 7.423
O -0.678 3.923 7.585
O 2.052 5.655 2.495
O -2.052 6.558 7.504
O 0.781 4.735 5.026
O 0.781 8.380 9.982
O -0.781 7.477 4.973
O -0.781 3.832 0.017
O -2.248 6.504 0.197
O -2.248 4.805 4.794
O 2.248 5.708 9.803
O 2.248 7.407 5.206